Run w
Compound: MgW2O4
Source: the Materials Project
Functional: GGA+U
Structure: relaxed

```
MgW2O4
1.0
-1.8231 2.2101 -1.3706
-4.3872 -6.8464 -5.2044
-7.5504 -1.2563 8.0175
W O Mg
8 16 4
direct
0.2500 0.5485 0.1233
0.7500 0.8953 0.0993
0.2500 0.1047 0.9007
0.7500 0.3953 0.4007
0.7500 0.9515 0.6233
0.7500 0.4515 0.8767
0.2500 0.0485 0.3767
0.2500 0.6047 0.5993
0.2500 0.1014 0.5708
0.7500 0.6878 0.1876
0.7500 0.1162 0.0444
0.2500 0.4192 0.2776
0.7500 0.3986 0.0708
0.7500 0.5808 0.7224
0.2500 0.9192 0.2224
0.7500 0.8986 0.4292
0.2500 0.3838 0.5444
0.2500 0.8122 0.6876
0.7500 0.1878 0.3124
0.7500 0.6162 0.4556
0.2500 0.8838 0.9556
0.7500 0.0808 0.7776
0.2500 0.6014 0.9292
0.2500 0.3122 0.8124
0.7500 0.7528 0.8451
0.2500 0.7472 0.3451
0.2500 0.2472 0.1549
0.7500 0.2528 0.6549
```

Calculated values
* V: 339.88 Å³/cell
* total magnetization: 24.000 μB/cell

Run x
Compound: MgW2O4
Source: the Materials Project
Functional: GGA+U
Structure: relaxed

```
MgW2O4
1.0
-4.5194 -0.2544 4.6431
-5.6265 -3.1835 -0.5053
-1.5331 -5.3289 3.3615
W O Mg
4 8 2
direct
0.2654 0.2654 0.2654
0.6455 0.6455 0.0842
0.6455 0.0842 0.6455
0.0842 0.6455 0.6455
0.8848 0.8848 0.8848
0.8504 0.3749 0.3749
0.8571 0.3944 0.8571
0.3944 0.8571 0.8571
0.3749 0.3749 0.8504
0.8571 0.8571 0.3944
0.3749 0.8504 0.3749
0.3929 0.3929 0.3929
0.0043 0.0043 0.0043
0.6187 0.6187 0.6187
```

Calculated values
* V: 172.08 Å³/cell
* total magnetization: 5.996 μB/cell

Relative energies in kJ/mol of atoms: run w 0.0; run x 8.9